Material: Ca2FeWO6
Method: DFT, GGA+U
State: relaxed

**E_form**: -2.547 eV/atom
**Electronic total energy**: -6.9779 eV per atom

The structure in POSCAR format:
```
Ca2FeWO6
1.0
5.6292 0.0330 0.1255
-0.1860 5.6105 -0.4394
-2.7364 -2.5833 4.1886
W O Fe Ca
1 6 1 2
Direct
0.9765 0.0000 0.9765
0.2093 0.2462 0.9630
0.7224 0.2307 0.9531
0.7168 0.7538 0.9630
0.1997 0.2526 0.4523
0.7224 0.7693 0.4917
0.1997 0.7474 0.9471
0.4825 0.5000 0.9825
0.7919 0.2504 0.5415
0.2911 0.7496 0.5415
```

Material: Ca4YFe5O13
Method: DFT, GGA+U
State: relaxed

**E_form**: -2.496 eV/atom
**Electronic total energy**: -6.8849 eV per atom

The structure in POSCAR format:
```
Ca4YFe5O13
1.0
5.5805 0.0000 0.0000
0.0000 5.6024 0.0000
0.0000 0.0000 37.4371
O Fe Ca Y
52 20 16 4
Direct
0.2173 0.7083 0.6873
0.4570 0.5868 0.1428
0.2827 0.2083 0.3127
0.7714 0.2720 0.0075
0.2173 0.7083 0.8127
0.7286 0.7720 0.9925
0.1039 0.6266 0.5992
0.9570 0.9132 0.1428
0.7940 0.2872 0.7898
0.5430 0.4132 0.6428
0.0430 0.0868 0.6428
0.4643 0.5812 0.0561
0.9643 0.9188 0.0561
0.3961 0.1266 0.0992
0.4619 0.6207 0.7500
0.0357 0.0812 0.5561
0.7060 0.7872 0.2898
0.0357 0.0812 0.9439
0.7173 0.7917 0.8127
0.1039 0.6266 0.9008
0.7827 0.2917 0.1873
0.7060 0.7872 0.2102
0.2714 0.2280 0.4925
0.3961 0.1266 0.4008
0.5357 0.4188 0.5561
0.2060 0.7128 0.2898
0.4643 0.5812 0.4439
0.9643 0.9188 0.4439
0.5430 0.4132 0.8572
0.6039 0.8734 0.5992
0.6039 0.8734 0.9008
0.8961 0.3734 0.0992
0.2714 0.2280 0.0075
0.7173 0.7917 0.6873
0.5357 0.4188 0.9439
0.0430 0.0868 0.8572
0.7714 0.2720 0.4925
0.2286 0.7280 0.5075
0.2940 0.2128 0.7898
0.9619 0.8793 0.7500
0.8961 0.3734 0.4008
0.2827 0.2083 0.1873
0.2060 0.7128 0.2102
0.2286 0.7280 0.9925
0.7827 0.2917 0.3127
0.5381 0.3793 0.2500
0.0381 0.1207 0.2500
0.9570 0.9132 0.3572
0.4570 0.5868 0.3572
0.7286 0.7720 0.5075
0.7940 0.2872 0.7102
0.2940 0.2128 0.7102
0.0071 0.9836 0.6985
0.5500 0.4396 0.0996
0.9500 0.9396 0.9004
0.5071 0.5164 0.8015
0.5000 0.5000 0.5000
0.4500 0.5604 0.9004
0.4929 0.4836 0.3015
0.5500 0.4396 0.4004
0.9500 0.9396 0.5996
0.5071 0.5164 0.6985
0.0071 0.9836 0.8015
0.5000 0.5000 0.0000
0.9929 0.0164 0.3015
0.0500 0.0604 0.0996
0.0000 0.0000 0.0000
0.0500 0.0604 0.4004
0.9929 0.0164 0.1985
0.4929 0.4836 0.1985
0.4500 0.5604 0.5996
0.0000 0.0000 0.5000
0.5298 0.9810 0.4568
0.5298 0.9810 0.0432
0.4702 0.0190 0.9568
0.0298 0.5190 0.0432
0.0390 0.5208 0.1545
0.5390 0.9792 0.1545
0.0298 0.5190 0.4568
0.9702 0.4810 0.5432
0.9610 0.4792 0.8455
0.5390 0.9792 0.3455
0.4610 0.0208 0.8455
0.0390 0.5208 0.3455
0.9610 0.4792 0.6545
0.4702 0.0190 0.5432
0.9702 0.4810 0.9568
0.4610 0.0208 0.6545
0.9381 0.5238 0.2500
0.0619 0.4762 0.7500
0.5619 0.0238 0.7500
0.4381 0.9762 0.2500
```

Material: CaZn2Fe4O8
Method: DFT, GGA+U
State: relaxed

**E_form**: -1.665 eV/atom
**Electronic total energy**: -5.8962 eV per atom
**Excess energy over the best structure of this formula in the dataset**: 0.00 eV per formula unit

The structure in POSCAR format:
```
CaZn2Fe4O8
1.0
5.4344 0.0490 3.2403
1.8577 5.1072 3.2403
0.0000 0.0000 6.4806
O Fe Ca Zn
8 4 1 2
Direct
0.4025 0.4025 0.3969
0.4354 0.8915 0.3365
0.8915 0.4354 0.3365
0.8480 0.8480 0.4512
0.7773 0.3542 0.9343
0.4025 0.4025 0.7981
0.3542 0.7773 0.9343
0.8480 0.8480 0.8528
0.6200 0.6200 0.6504
0.6200 0.6200 0.1097
0.3172 0.3172 0.1828
0.8753 0.8753 0.1247
0.1993 0.1993 0.8007
0.7241 0.1639 0.5560
0.1639 0.7241 0.5560
```

Material: CaZn2Fe4O8
Method: DFT, GGA+U
State: relaxed

**E_form**: -1.609 eV/atom
**Electronic total energy**: -5.8401 eV per atom
**Excess energy over the best structure of this formula in the dataset**: 0.84 eV per formula unit

The structure in POSCAR format:
```
CaZn2Fe4O8
1.0
5.5566 0.2591 3.3835
2.0965 5.1524 3.3835
0.2168 0.1533 6.4027
O Fe Zn Ca
8 4 2 1
Direct
0.3759 0.3759 0.8953
0.3567 0.8577 0.8820
0.8741 0.8741 0.3547
0.8551 0.8551 0.8413
0.8577 0.3567 0.8820
0.3949 0.3949 0.4087
0.8933 0.3923 0.3680
0.3923 0.8933 0.3680
0.6250 0.6250 0.6250
0.6250 0.6250 0.1250
0.9665 0.9665 0.9722
0.2835 0.2835 0.2778
0.1250 0.6250 0.6250
0.6250 0.1250 0.6250
0.1250 0.1250 0.1250
```

Material: Ca2ZrFeO6
Method: DFT, GGA+U
State: relaxed

**E_form**: -2.800 eV/atom
**Electronic total energy**: -7.2337 eV per atom

The structure in POSCAR format:
```
Ca2ZrFeO6
1.0
0.0000 -3.9908 -3.9908
3.9908 0.0000 -3.9908
3.9908 -3.9908 0.0000
O Ca Zr Fe
6 2 1 1
Direct
0.2417 0.7583 0.7583
0.7583 0.2417 0.2417
0.7583 0.7583 0.2417
0.2417 0.7583 0.2417
0.2417 0.2417 0.7583
0.7583 0.2417 0.7583
0.2500 0.2500 0.2500
0.7500 0.7500 0.7500
0.5000 0.5000 0.5000
0.0000 0.0000 0.0000
```

Material: Ca2MnGaO5
Method: DFT, GGA+U
State: relaxed

**E_form**: -2.705 eV/atom
**Electronic total energy**: -6.6874 eV per atom
**Excess energy over the best structure of this formula in the dataset**: 0.11 eV per formula unit

The structure in POSCAR format:
```
Ca2MnGaO5
1.0
-1.0103 -4.9919 -1.7183
5.0000 -0.1006 -2.5584
1.1233 -0.2151 8.3639
Mn O Ga Ca
2 10 2 4
Direct
0.4848 0.4998 0.9999
0.9867 0.0006 0.9998
0.7477 0.7552 0.0276
0.5915 0.5707 0.2767
0.3164 0.4291 0.7240
0.1321 0.8727 0.5005
0.2510 0.7751 0.0331
0.7956 0.7696 0.7028
0.6314 0.1273 0.4993
0.0882 0.2296 0.2975
0.2279 0.2367 0.9731
0.7239 0.2326 0.9660
0.7760 0.8155 0.4952
0.2810 0.1851 0.5047
0.3925 0.8614 0.7807
0.8882 0.4181 0.7826
0.1067 0.5824 0.2178
0.6103 0.1385 0.2187
```

Material: Ca2MnGaO5
Method: DFT, GGA+U
State: relaxed

**E_form**: -2.717 eV/atom
**Electronic total energy**: -6.6993 eV per atom
**Excess energy over the best structure of this formula in the dataset**: 0.00 eV per formula unit

The structure in POSCAR format:
```
Ca2MnGaO5
1.0
-5.0022 -0.8416 -1.8723
-0.5264 -4.4541 3.4083
-0.0070 7.0947 4.6150
Ca O Mn Ga
4 10 2 2
Direct
0.3916 0.8632 0.7804
0.6116 0.1369 0.2196
0.1116 0.5827 0.2196
0.8917 0.4172 0.7804
0.5897 0.5680 0.2884
0.7579 0.7649 0.0300
0.8002 0.7803 0.7117
0.2579 0.7652 0.0301
0.7209 0.2448 0.9699
0.0897 0.2203 0.2883
0.3000 0.4314 0.7117
0.2209 0.2251 0.9699
0.1296 0.8734 0.4999
0.6296 0.1267 0.5000
0.9871 0.9996 0.0001
0.4872 0.5005 0.0001
0.2774 0.1832 0.5000
0.7774 0.8168 0.5000
```

Material: Ca2MnGaO5
Method: DFT, GGA+U
State: relaxed

**E_form**: -2.718 eV/atom
**Electronic total energy**: -6.6996 eV per atom
**Excess energy over the best structure of this formula in the dataset**: 0.00 eV per formula unit

The structure in POSCAR format:
```
Ca2MnGaO5
1.0
-1.1627 -5.2292 0.6357
1.8511 -1.0459 -5.2185
13.8188 -2.4178 5.3862
O Mn Ca Ga
20 4 8 4
Direct
0.2557 0.7568 0.4863
0.7557 0.7432 0.4863
0.0295 0.9286 0.6431
0.5295 0.5714 0.8569
0.9705 0.0714 0.1431
0.4009 0.8779 0.2500
0.9705 0.0714 0.3569
0.0991 0.3779 0.7500
0.7557 0.7432 0.0137
0.2443 0.2568 0.9863
0.4705 0.4286 0.1431
0.7443 0.2432 0.9863
0.2443 0.2568 0.5137
0.2557 0.7568 0.0137
0.5991 0.1221 0.7500
0.4705 0.4286 0.3569
0.9009 0.6221 0.2500
0.7443 0.2432 0.5137
0.0295 0.9286 0.8569
0.5295 0.5714 0.6431
0.0000 0.0000 0.5000
0.5000 0.5000 0.5000
0.5000 0.5000 0.0000
0.0000 0.0000 0.0000
0.4872 0.9726 0.8915
0.9872 0.5274 0.8915
0.0128 0.4726 0.1085
0.0128 0.4726 0.3915
0.4872 0.9726 0.6085
0.5128 0.0274 0.3915
0.5128 0.0274 0.1085
0.9872 0.5274 0.6085
0.4532 0.4317 0.7500
0.5468 0.5683 0.2500
0.0468 0.9317 0.2500
0.9532 0.0683 0.7500
```

Material: Sr4CaMn2Ga2O11
Method: DFT, GGA+U
State: relaxed

**E_form**: -2.554 eV/atom
**Electronic total energy**: -6.3880 eV per atom
**Excess energy over the best structure of this formula in the dataset**: 0.00 eV per formula unit

The structure in POSCAR format:
```
Sr4CaMn2Ga2O11
1.0
1.8876 -5.1369 0.8921
3.1460 -0.1158 -4.5694
8.3846 2.0384 3.6821
Ga O Sr Mn Ca
2 11 4 2 1
Direct
0.9590 0.9593 0.0145
0.4594 0.4592 0.0144
0.0784 0.9503 0.8114
0.1243 0.0685 0.4346
0.3603 0.4451 0.2208
0.0758 0.5564 0.5308
0.5877 0.6106 0.4329
0.4777 0.5503 0.8012
0.7094 0.2076 0.0176
0.6935 0.7191 0.0087
0.6039 0.0885 0.4832
0.2065 0.2176 0.0123
0.9613 0.8442 0.2163
0.4177 0.9093 0.2191
0.8949 0.3824 0.2428
0.9721 0.4886 0.8259
0.5331 0.0542 0.8208
0.3458 0.3469 0.4431
0.8651 0.8285 0.4423
0.3289 0.8017 0.6009
```

Material: Sr4CaMn2Ga2O10
Method: DFT, GGA+U
State: relaxed

**E_form**: -2.523 eV/atom
**Electronic total energy**: -6.3344 eV per atom
**Excess energy over the best structure of this formula in the dataset**: 1.76 eV per formula unit

The structure in POSCAR format:
```
Sr4CaMn2Ga2O10
1.0
-0.0421 -0.0894 6.7599
-0.5251 6.1343 -0.1081
-8.0066 3.7374 3.4059
Sr O Mn Ca Ga
4 10 2 1 2
Direct
0.3115 0.8367 0.2111
0.7188 0.3617 0.2074
0.1992 0.7071 0.7831
0.7605 0.0580 0.7447
0.8101 0.6301 0.9024
0.5981 0.7468 0.6953
0.3869 0.7286 0.4824
0.2966 0.2592 0.9674
0.6543 0.3986 0.5132
0.0844 0.6749 0.0937
0.6825 0.1169 0.0227
0.1291 0.1338 0.7325
0.9091 0.9852 0.3058
0.3494 0.3947 0.3416
0.6047 0.4336 0.8909
0.0092 0.0317 0.0055
0.1790 0.3225 0.2034
0.3560 0.3820 0.5408
0.6750 0.7264 0.4917
```

Material: Sr4CaMn2Ga2O10
Method: DFT, GGA+U
State: relaxed

**E_form**: -2.616 eV/atom
**Electronic total energy**: -6.4271 eV per atom
**Excess energy over the best structure of this formula in the dataset**: 0.00 eV per formula unit

The structure in POSCAR format:
```
Sr4CaMn2Ga2O10
1.0
-2.3863 -2.9162 4.4613
-1.1258 -4.5827 -3.4497
5.7605 -7.0153 2.3915
Ga O Sr Mn Ca
2 10 4 2 1
Direct
0.6623 0.6668 0.5000
0.3377 0.3332 0.5000
0.7415 0.7415 0.0171
0.6995 0.7068 0.6810
0.3005 0.2932 0.3190
0.2489 0.7489 0.0022
0.8804 0.8879 0.3190
0.2585 0.2585 0.9829
0.1196 0.1121 0.6810
0.7511 0.2511 0.9978
0.3283 0.6675 0.5000
0.6717 0.3325 0.5000
0.4021 0.9084 0.1917
0.5979 0.0916 0.8083
0.0937 0.6000 0.8083
0.9063 0.4000 0.1917
0.5000 0.5000 0.0000
0.0000 0.0000 0.0000
0.0000 0.0000 0.5000
```

Material: Sr4CaMn2Ga2O10
Method: DFT, GGA+U
State: relaxed

**E_form**: -2.516 eV/atom
**Electronic total energy**: -6.3278 eV per atom
**Excess energy over the best structure of this formula in the dataset**: 1.89 eV per formula unit

The structure in POSCAR format:
```
Sr4CaMn2Ga2O10
1.0
3.6655 -3.5392 3.4963
-3.8858 -4.3208 -2.1735
4.7981 -5.1538 -5.8030
O Ga Mn Sr Ca
10 2 2 4 1
Direct
0.1323 0.1260 0.6802
0.6452 0.3577 0.5024
0.8984 0.9076 0.2926
0.7496 0.2504 0.9945
0.7543 0.7493 0.9964
0.3087 0.3000 0.2928
0.2510 0.7514 0.0026
0.2393 0.2463 0.0144
0.6899 0.6926 0.6799
0.3540 0.6385 0.5025
0.6908 0.6931 0.4756
0.3343 0.3306 0.4759
0.9731 0.9719 0.0426
0.4820 0.4878 0.0429
0.9325 0.3593 0.2051
0.3619 0.9372 0.2045
0.6901 0.0331 0.7809
0.0315 0.6810 0.7833
0.3738 0.3674 0.7597
```